*P*
13
Lattice="-0.9244 -0.9483 5.1779 3.2669 -3.5497 -2.3258 4.7293 3.7922 1.9250" Properties=species:S:1:pos:R:3 comment="MgV2Fe2O8 PBE with a Hubbard U optimized geometry" mass_density_g_cm3=3.67 total_magnetization_mub_per_cell=8.00 crystal_system=triclinic pbc="T T T"
Mg 1.1712 -2.2489 1.4262
V 1.9047 -0.6877 3.2562
V 5.1668 -0.0186 1.5207
Fe 2.3647 1.8957 0.9628
Fe 2.3426 -4.4979 2.8521
O 5.4297 -0.5137 3.2491
O 1.6422 -0.1920 1.5281
O 2.7412 -2.2574 2.8552
O 4.3306 1.5516 1.9220
O 6.7292 0.5691 1.1413
O 2.4860 0.3917 4.4173
O 4.5859 -1.0972 0.3600
O 0.3426 -1.2748 3.6357


*Q*
13
Lattice="-3.5789 0.0190 -3.8984 4.9766 -0.9013 -1.5619 -0.9030 -6.3586 0.8025" Properties=species:S:1:pos:R:3 comment="MgV2Fe2O8 PBE with a Hubbard U optimized geometry" mass_density_g_cm3=3.69 total_magnetization_mub_per_cell=8.00 crystal_system=monoclinic pbc="T T T"
Mg 1.8334 -2.1792 -2.1752
V -0.8231 -1.8920 -2.8887
V 1.2514 -5.3423 -1.7919
Fe -4.0163 -3.2028 -3.4913
Fe -4.4565 -6.3025 -3.0995
O 0.6198 -5.4583 -3.4218
O -0.0162 -1.7992 -1.2466
O 0.6589 -2.2324 -3.9163
O -0.0767 -5.0149 -0.6920
O 1.9914 -6.8744 -1.3545
O -1.9795 -3.1031 -2.9770
O 2.3977 -4.0133 -1.7155
O -1.6052 -0.4699 -3.3105


Energies relative to the most stable structure, in kJ/mol of atoms: *P* 14.5; *Q* 0.0.